Entry a
Material: Mn2P4O13
Method: DFT, GGA+U
State: relaxed

```
data_Mn2P4O13
_chemical_formula_sum 'Mn8 P16 O52'
_symmetry_space_group_name_H-M 'C 1 2/c 1'
_symmetry_Int_Tables_number 15
_cell_length_a 12.6516
_cell_length_b 6.2044
_cell_length_c 14.3735
_cell_angle_alpha 90.00
_cell_angle_beta 114.67
_cell_angle_gamma 90.00
loop_
_symmetry_equiv_pos_as_xyz
'x,y,z'
'-x,-y,-z'
'-x,y,-z+1/2'
'x,-y,z+1/2'
'x+1/2,y+1/2,z'
'-x+1/2,-y+1/2,-z'
'-x+1/2,y+1/2,-z+1/2'
'x+1/2,-y+1/2,z+1/2'
loop_
_atom_site_label
_atom_site_fract_x
_atom_site_fract_y
_atom_site_fract_z
Mn1 0.2225 0.0283 0.1058
P1 0.0235 0.3320 0.8618
P2 0.2127 0.4706 0.6571
O1 0.0000 0.2371 0.7500
O2 0.0321 0.1518 0.9328
O3 0.0875 0.4876 0.6599
O4 0.1205 0.4977 0.8894
O5 0.1977 0.0338 0.2316
O6 0.2146 0.2758 0.5932
O7 0.2293 0.3327 0.1003
```

=====

Entry b
Material: Mn2P4O13
Method: DFT, GGA+U
State: relaxed

```
data_Mn2P4O13
_chemical_formula_sum 'Mn8 P16 O52'
_symmetry_space_group_name_H-M 'C 2 2 21'
_symmetry_Int_Tables_number 20
_cell_length_a 7.1524
_cell_length_b 16.0689
_cell_length_c 8.2589
_cell_angle_alpha 90.00
_cell_angle_beta 90.00
_cell_angle_gamma 90.00
loop_
_symmetry_equiv_pos_as_xyz
'x,y,z'
'-x,-y,z+1/2'
'x,-y,-z'
'-x,y,-z+1/2'
'x+1/2,y+1/2,z'
'-x+1/2,-y+1/2,z+1/2'
'x+1/2,-y+1/2,-z'
'-x+1/2,y+1/2,-z+1/2'
loop_
_atom_site_label
_atom_site_fract_x
_atom_site_fract_y
_atom_site_fract_z
Mn1 0.2303 0.1454 0.1371
P1 0.2189 0.4405 0.2790
P2 0.2221 0.3360 0.9923
O1 0.0000 0.4389 0.2500
O2 0.0358 0.3561 0.9193
O3 0.1271 0.1657 0.3581
O4 0.2053 0.0857 0.6062
O5 0.2184 0.0277 0.1865
O6 0.2211 0.1236 0.9015
O7 0.2356 0.2631 0.1097
```

=====

Entry c
Material: Mn2P4O13
Method: DFT, GGA+U
State: relaxed

```
data_Mn2P4O13
_chemical_formula_sum 'Mn8 P16 O52'
_symmetry_space_group_name_H-M 'P 1 21/c 1'
_symmetry_Int_Tables_number 14
_cell_length_a 8.3844
_cell_length_b 9.0023
_cell_length_c 13.3992
_cell_angle_alpha 90.00
_cell_angle_beta 107.87
_cell_angle_gamma 90.00
loop_
_symmetry_equiv_pos_as_xyz
'x,y,z'
'-x,-y,-z'
'-x,y+1/2,-z+1/2'
'x,-y+1/2,z+1/2'
loop_
_atom_site_label
_atom_site_fract_x
_atom_site_fract_y
_atom_site_fract_z
Mn1 0.0348 0.0011 0.2221
Mn2 0.4437 0.5012 0.7380
P1 0.1404 0.7411 0.9290
P2 0.2268 0.7022 0.1599
P3 0.2747 0.2242 0.8418
P4 0.4973 0.2486 0.0681
O1 0.0274 0.6240 0.4048
O2 0.1026 0.6126 0.8544
O3 0.1199 0.1483 0.8550
O4 0.1262 0.6300 0.2209
O5 0.1280 0.6756 0.0368
O6 0.2327 0.1316 0.2750
O7 0.2413 0.6252 0.6725
O8 0.3309 0.6996 0.4547
O9 0.3751 0.2082 0.4564
O10 0.3858 0.1248 0.8040
O11 0.4007 0.6367 0.1774
O12 0.4230 0.1173 0.1079
O13 0.4676 0.6107 0.8693
```

=====

Which of them is the least stable? Correct choice: entry a.

=====

Entry a
Material: MnP2O8
Method: DFT, GGA+U
State: relaxed

```
data_MnP2O8
_chemical_formula_sum 'Mn2 P4 O16'
_symmetry_space_group_name_H-M 'P 1 c 1'
_symmetry_Int_Tables_number 7
_cell_length_a 7.9830
_cell_length_b 6.6526
_cell_length_c 9.7015
_cell_angle_alpha 90.00
_cell_angle_beta 126.94
_cell_angle_gamma 90.00
loop_
_symmetry_equiv_pos_as_xyz
'x,y,z'
'x,-y,z+1/2'
loop_
_atom_site_label
_atom_site_fract_x
_atom_site_fract_y
_atom_site_fract_z
Mn1 0.0000 0.2493 0.0000
P1 0.2640 0.4713 0.8652
P2 0.7371 0.0283 0.1318
O1 0.0781 0.3815 0.8460
O2 0.1897 0.0614 0.0700
O3 0.2219 0.4267 0.2085
O4 0.4802 0.4658 0.0249
O5 0.5248 0.0291 0.9684
O6 0.7795 0.0673 0.7906
O7 0.8121 0.4394 0.9326
O8 0.9254 0.1183 0.1553
```

=====

Entry b
Material: MnP2O8
Method: DFT, GGA+U
State: relaxed

```
data_MnP2O8
_chemical_formula_sum 'Mn4 P8 O32'
_symmetry_space_group_name_H-M 'C 1 2/c 1'
_symmetry_Int_Tables_number 15
_cell_length_a 9.0125
_cell_length_b 4.9148
_cell_length_c 13.5467
_cell_angle_alpha 90.00
_cell_angle_beta 105.89
_cell_angle_gamma 90.00
loop_
_symmetry_equiv_pos_as_xyz
'x,y,z'
'-x,-y,-z'
'-x,y,-z+1/2'
'x,-y,z+1/2'
'x+1/2,y+1/2,z'
'-x+1/2,-y+1/2,-z'
'-x+1/2,y+1/2,-z+1/2'
'x+1/2,-y+1/2,z+1/2'
loop_
_atom_site_label
_atom_site_fract_x
_atom_site_fract_y
_atom_site_fract_z
Mn1 0.0000 0.0000 0.0000
P1 0.1305 0.4684 0.3900
O1 0.0431 0.1997 0.3894
O2 0.0861 0.4317 0.7697
O3 0.0924 0.3171 0.9592
O4 0.1971 0.0890 0.5933
```

=====

Which of them is the least stable? Correct choice: entry a.